A relaxed NaInAs2O7 crystal. Source: the Materials Project database, functional meta-GGA r2SCAN.

Cell: 6.760 6.760 13.955 Å, 74.67 74.67 80.40°
Fractional positions:
O (0.489, 0.561, 0.349)
O (0.883, 0.069, 0.895)
O (0.678, 0.810, 0.630)
O (0.789, 0.594, 0.481)
O (0.797, 0.387, 0.022)
O (0.387, 0.797, 0.522)
O (0.511, 0.439, 0.651)
O (0.425, 0.967, 0.199)
O (0.967, 0.425, 0.699)
O (0.117, 0.931, 0.105)
O (0.270, 0.079, 0.685)
O (0.033, 0.575, 0.301)
O (0.439, 0.511, 0.151)
O (0.203, 0.613, 0.978)
O (0.190, 0.322, 0.870)
O (0.613, 0.203, 0.478)
O (0.211, 0.406, 0.519)
O (0.575, 0.033, 0.801)
O (0.921, 0.730, 0.815)
O (0.730, 0.921, 0.315)
O (0.406, 0.211, 0.019)
O (0.069, 0.883, 0.395)
O (0.079, 0.270, 0.185)
O (0.594, 0.789, 0.981)
O (0.322, 0.190, 0.370)
O (0.561, 0.489, 0.849)
O (0.810, 0.678, 0.130)
O (0.931, 0.117, 0.605)
In (0.404, 0.873, 0.360)
In (0.596, 0.127, 0.640)
In (0.873, 0.404, 0.860)
In (0.127, 0.596, 0.140)
Na (0.041, 0.763, 0.622)
Na (0.763, 0.041, 0.122)
Na (0.959, 0.237, 0.378)
Na (0.237, 0.959, 0.878)
As (0.666, 0.580, 0.077)
As (0.091, 0.247, 0.634)
As (0.580, 0.666, 0.577)
As (0.247, 0.091, 0.134)
As (0.334, 0.420, 0.923)
As (0.909, 0.753, 0.366)
As (0.753, 0.909, 0.866)
As (0.420, 0.334, 0.423)

Computed properties:
ΔH_f (0 K): -1.65 eV per atom
energy: -10.50 eV per atom